[1]
# Li4TiCr5O12

A relaxed structure of Li4TiCr5O12 (PBE with a Hubbard U, the Materials Project database).

## Properties
As for the space group: No. 12. For the corrected total energy (MP2020 scheme), the calculation gives -176.6 eV for the cell shown. As for the total magnetization: 13.999 μB/f.u. As for the energy above the most stable polymorph in this dataset: 25 meV/atom. The density is 3.78 g/cm3. As for the energy of formation from the pure elements: -2.429 eV per atom.

a = 5.139 Å, b = 5.139 Å, c = 10.126 Å
α = 89.98°, β = 89.98°, γ = 120.02°
Atoms (fractional coordinates):
1 Li 0.847 0.348 0.251
2 Li 0.652 0.153 0.749
3 Li 0.348 0.847 0.251
4 Li 0.153 0.652 0.749
5 Ti 0.000 0.000 0.000
6 Cr 0.835 0.165 0.500
7 Cr 0.336 0.664 0.000
8 Cr 0.664 0.336 0.000
9 Cr 0.165 0.835 0.500
10 Cr 0.500 0.500 0.500
11 O 0.995 0.332 0.893
12 O 0.668 0.005 0.107
13 O 0.836 0.492 0.606
14 O 0.492 0.836 0.606
15 O 0.508 0.164 0.394
16 O 0.831 0.831 0.406
17 O 0.164 0.508 0.394
18 O 0.332 0.995 0.893
19 O 0.676 0.676 0.900
20 O 0.005 0.668 0.107
21 O 0.324 0.324 0.100
22 O 0.169 0.169 0.594

---

[2]
# MgFe2H2O4

A relaxed structure of MgFe2H2O4 (PBE with a Hubbard U, the Materials Project database).

## Properties
As for the space group: No. 1. For the corrected total energy (MP2020 scheme), the calculation gives -60.0 eV for the cell shown. As for the total magnetization: 8.000 μB/f.u. As for the energy above the most stable polymorph in this dataset: 0 meV/atom. The density is 3.73 g/cm3. As for the energy of formation from the pure elements: -1.656 eV per atom.

a = 4.244 Å, b = 6.662 Å, c = 6.583 Å
α = 150.97°, β = 85.23°, γ = 94.26°
Atoms (fractional coordinates):
1 Mg 0.278 0.928 0.124
2 Fe 0.209 0.663 0.326
3 Fe 0.751 0.312 0.737
4 H 0.506 0.035 0.857
5 H 0.823 0.913 0.941
6 O 0.257 0.340 0.721
7 O 0.733 0.745 0.373
8 O 0.288 0.075 0.954
9 O 0.776 0.894 0.072

---

[3]
# MgMn2O4

A relaxed structure of MgMn2O4 (PBE with a Hubbard U, the Materials Project database).

## Properties
As for the space group: No. 57. For the corrected total energy (MP2020 scheme), the calculation gives -222.4 eV for the cell shown. As for the total magnetization: 8.000 μB/f.u. As for the energy above the most stable polymorph in this dataset: 71 meV/atom. The density is 4.58 g/cm3. As for the energy of formation from the pure elements: -2.270 eV per atom.

a = 3.010 Å, b = 9.620 Å, c = 9.918 Å
α = 90.00°, β = 90.00°, γ = 90.00°
Atoms (fractional coordinates):
1 Mg 0.327 0.750 0.353
2 Mg 0.327 0.250 0.147
3 Mg 0.673 0.750 0.853
4 Mg 0.673 0.250 0.647
5 Mn 0.797 0.571 0.115
6 Mn 0.797 0.071 0.385
7 Mn 0.203 0.071 0.885
8 Mn 0.797 0.429 0.385
9 Mn 0.203 0.429 0.885
10 Mn 0.797 0.929 0.115
11 Mn 0.203 0.929 0.615
12 Mn 0.203 0.571 0.615
13 O 0.203 0.885 0.967
14 O 0.797 0.115 0.033
15 O 0.376 0.000 0.250
16 O 0.797 0.885 0.467
17 O 0.797 0.615 0.467
18 O 0.822 0.250 0.293
19 O 0.203 0.115 0.533
20 O 0.178 0.250 0.793
21 O 0.376 0.500 0.250
22 O 0.624 0.000 0.750
23 O 0.203 0.615 0.967
24 O 0.178 0.750 0.707
25 O 0.822 0.750 0.207
26 O 0.624 0.500 0.750
27 O 0.203 0.385 0.533
28 O 0.797 0.385 0.033

---

[4]
# CaMo4O8

A relaxed structure of CaMo4O8 (PBE with a Hubbard U, the Materials Project database).

## Properties
As for the space group: No. 2. For the corrected total energy (MP2020 scheme), the calculation gives -111.2 eV for the cell shown. As for the total magnetization: 10.000 μB/f.u. As for the energy above the most stable polymorph in this dataset: 20 meV/atom. The density is 5.50 g/cm3. As for the energy of formation from the pure elements: -2.015 eV per atom.

a = 3.294 Å, b = 7.206 Å, c = 7.309 Å
α = 87.36°, β = 78.04°, γ = 78.88°
Atoms (fractional coordinates):
1 Ca 0.000 0.500 0.000
2 Mo 0.131 0.677 0.531
3 Mo 0.651 0.973 0.177
4 Mo 0.349 0.027 0.823
5 Mo 0.869 0.323 0.469
6 O 0.359 0.212 0.608
7 O 0.960 0.887 0.722
8 O 0.040 0.113 0.278
9 O 0.641 0.788 0.392
10 O 0.633 0.541 0.686
11 O 0.294 0.814 0.046
12 O 0.367 0.459 0.314
13 O 0.706 0.186 0.954

---

[5]
# VAsO5

A relaxed structure of VAsO5 (PBE with a Hubbard U, the Materials Project database).

## Properties
As for the space group: No. 62. For the corrected total energy (MP2020 scheme), the calculation gives -208.5 eV for the cell shown. As for the energy above the most stable polymorph in this dataset: 0 meV/atom. The density is 3.55 g/cm3. As for the energy of formation from the pure elements: -1.948 eV per atom.

a = 6.439 Å, b = 7.501 Å, c = 7.980 Å
α = 90.00°, β = 90.00°, γ = 90.00°
Atoms (fractional coordinates):
1 V 0.250 0.735 0.170
2 V 0.750 0.235 0.330
3 V 0.250 0.765 0.670
4 V 0.750 0.265 0.830
5 As 0.750 0.615 0.121
6 As 0.250 0.115 0.379
7 As 0.750 0.885 0.621
8 As 0.250 0.385 0.879
9 O 0.250 0.504 0.062
10 O 0.750 0.170 0.137
11 O 0.541 0.756 0.122
12 O 0.959 0.756 0.122
13 O 0.250 0.985 0.200
14 O 0.750 0.485 0.300
15 O 0.041 0.256 0.378
16 O 0.459 0.256 0.378
17 O 0.250 0.670 0.363
18 O 0.750 0.004 0.438
19 O 0.250 0.996 0.562
20 O 0.750 0.330 0.637
21 O 0.541 0.744 0.622
22 O 0.959 0.744 0.622
23 O 0.250 0.515 0.700
24 O 0.750 0.015 0.800
25 O 0.041 0.244 0.878
26 O 0.459 0.244 0.878
27 O 0.250 0.830 0.863
28 O 0.750 0.496 0.938

---

[6]
# SrCoO3

A relaxed structure of SrCoO3 (PBE with a Hubbard U, the Materials Project database).

## Properties
As for the space group: No. 1. For the corrected total energy (MP2020 scheme), the calculation gives -134.0 eV for the cell shown. As for the total magnetization: 0.002 μB/f.u. The density is 5.57 g/cm3. As for the energy of formation from the pure elements: -1.970 eV per atom.

a = 3.875 Å, b = 3.897 Å, c = 15.373 Å
α = 89.96°, β = 90.04°, γ = 89.57°
Atoms (fractional coordinates):
1 Sr 0.501 0.500 0.122
2 Sr 0.500 0.500 0.377
3 Sr 0.500 0.500 0.623
4 Sr 0.500 0.500 0.877
5 Co 0.999 0.000 0.500
6 Co 0.000 0.000 0.750
7 Co 0.000 0.000 0.999
8 Co 0.001 0.999 0.250
9 O 0.001 0.999 0.121
10 O 0.999 0.001 0.380
11 O 0.000 0.001 0.621
12 O 0.999 0.998 0.880
13 O 0.000 0.499 0.000
14 O 0.000 0.500 0.250
15 O 0.000 0.501 0.501
16 O 0.000 0.500 0.750
17 O 0.500 0.000 0.001
18 O 0.500 0.000 0.250
19 O 0.500 0.000 0.501
20 O 0.500 0.000 0.750